Entry 1:
Entry from Materials Project: an optimized crystal structure of MnBe2Pt (r2SCAN).

Calculated values
**Total magnetic moment**: 3.53 μB per cell
**VASP energy**: -19.3242 eV per atom
**SG**: Fm-3m (225)

Geometry as POSCAR:
```
MnBe2Pt
1.0
-0.871 -3.560 1.535
-3.464 -1.744 -0.867
-0.077 -3.208 -2.343
Be Pt Mn
2 1 1
Direct
0.500 0.500 0.500
0.000 0.000 0.000
0.750 0.750 0.750
0.250 0.250 0.250
```

Entry 2:
Entry from Materials Project: an optimized crystal structure of Sm4Au2O9 (r2SCAN).

Calculated values
**Total magnetic moment**: 0.00 μB per cell
**VASP energy**: -20.9156 eV per atom
**SG**: Pbcn (60)

Geometry as POSCAR:
```
Sm4Au2O9
1.0
6.038 0.000 0.000
0.000 11.848 0.000
0.000 0.000 11.860
O Au Sm
36 8 16
Direct
0.886 0.076 0.411
0.061 0.163 0.149
0.524 0.000 0.750
0.873 0.697 0.158
0.438 0.885 0.946
0.627 0.197 0.842
0.373 0.197 0.342
0.439 0.337 0.649
0.938 0.385 0.554
0.062 0.615 0.446
0.114 0.076 0.911
0.976 0.500 0.250
0.373 0.803 0.158
0.614 0.424 0.911
0.386 0.424 0.411
0.127 0.303 0.842
0.127 0.697 0.658
0.438 0.115 0.554
0.024 0.500 0.750
0.938 0.615 0.946
0.873 0.303 0.342
0.939 0.837 0.851
0.562 0.885 0.446
0.561 0.337 0.149
0.886 0.924 0.089
0.114 0.924 0.589
0.439 0.663 0.851
0.061 0.837 0.351
0.614 0.576 0.589
0.562 0.115 0.054
0.386 0.576 0.089
0.561 0.663 0.351
0.939 0.163 0.649
0.627 0.803 0.658
0.062 0.385 0.054
0.476 0.000 0.250
0.919 0.228 0.489
0.081 0.228 0.989
0.081 0.772 0.511
0.581 0.272 0.989
0.419 0.272 0.489
0.419 0.728 0.011
0.581 0.728 0.511
0.919 0.772 0.011
0.803 0.659 0.764
0.303 0.841 0.764
0.242 0.488 0.910
0.758 0.512 0.090
0.258 0.988 0.090
0.697 0.159 0.236
0.197 0.659 0.264
0.197 0.341 0.236
0.742 0.988 0.590
0.258 0.012 0.410
0.242 0.512 0.590
0.758 0.488 0.410
0.697 0.841 0.264
0.742 0.012 0.910
0.803 0.341 0.736
0.303 0.159 0.736
```

Entry 3:
Entry from Materials Project: an optimized crystal structure of Zr5AlSb3 (r2SCAN).

Calculated values
**Total magnetic moment**: 0.00 μB per cell
**VASP energy**: -22.7558 eV per atom
**SG**: P6_3/mcm (193)

Geometry as POSCAR:
```
Zr5AlSb3
1.0
-8.451 1.666 -1.207
2.988 -1.771 7.975
0.994 5.686 0.890
Sb Zr Al
6 10 2
Direct
0.387 0.387 0.750
0.000 0.613 0.750
0.387 0.000 0.250
0.613 0.000 0.750
0.613 0.613 0.250
0.000 0.387 0.250
0.271 0.000 0.750
0.000 0.271 0.750
0.667 0.333 0.000
0.667 0.333 0.500
0.000 0.729 0.250
0.333 0.667 0.000
0.729 0.729 0.750
0.729 0.000 0.250
0.271 0.271 0.250
0.333 0.667 0.500
0.000 0.000 0.500
0.000 0.000 0.000
```

Entry 4:
Entry from Materials Project: an optimized crystal structure of Ca3Pd2 (r2SCAN).

Calculated values
**Total magnetic moment**: 0.00 μB per cell
**VASP energy**: -14.0221 eV per atom
**SG**: R-3 (148)

Geometry as POSCAR:
```
Ca3Pd2
1.0
-0.284 -2.956 7.043
6.970 -2.546 1.833
3.195 4.980 4.839
Ca Pd
9 6
Direct
0.796 0.796 0.796
0.204 0.204 0.204
0.605 0.332 0.843
0.668 0.157 0.395
0.395 0.668 0.157
0.332 0.843 0.605
0.157 0.395 0.668
0.000 0.000 0.000
0.843 0.605 0.332
0.043 0.846 0.413
0.587 0.957 0.154
0.154 0.587 0.957
0.413 0.043 0.846
0.957 0.154 0.587
0.846 0.413 0.043
```

Entry 5:
Entry from Materials Project: an optimized crystal structure of CsCuBr3 (r2SCAN).

Calculated values
**Total magnetic moment**: 0.00 μB per cell
**VASP energy**: -16.2455 eV per atom
**SG**: C222_1 (20)

Geometry as POSCAR:
```
CsCuBr3
1.0
-3.537 -2.550 6.065
2.689 -5.004 -4.850
11.035 -0.217 6.343
Br Cu Cs
12 4 4
Direct
0.491 0.491 0.500
0.813 0.668 0.219
0.468 0.935 0.514
0.197 0.803 0.750
0.668 0.813 0.781
0.187 0.332 0.719
0.935 0.468 0.486
0.532 0.065 0.014
0.803 0.197 0.250
0.509 0.509 0.000
0.065 0.532 0.986
0.332 0.187 0.281
0.339 0.644 0.622
0.644 0.339 0.378
0.661 0.356 0.122
0.356 0.661 0.878
0.017 0.017 0.000
0.680 0.320 0.750
0.983 0.983 0.500
0.320 0.680 0.250
```

Entry 6:
Entry from Materials Project: an optimized crystal structure of In2Au (r2SCAN).

Calculated values
**Total magnetic moment**: 0.00 μB per cell
**VASP energy**: -32.2324 eV per atom
**SG**: Fm-3m (225)

Geometry as POSCAR:
```
In2Au
1.0
-4.599 0.303 -0.616
-2.043 -2.353 -3.451
-2.720 -3.646 0.964
In Au
2 1
Direct
0.250 0.250 0.250
0.750 0.750 0.750
0.000 0.000 0.000
```

Entry 7:
Entry from Materials Project: an optimized crystal structure of TmMgZn2 (r2SCAN).

Calculated values
**Total magnetic moment**: 0.00 μB per cell
**VASP energy**: -14.6207 eV per atom
**SG**: Fm-3m (225)

Geometry as POSCAR:
```
TmMgZn2
1.0
-3.167 -2.462 2.526
-0.380 0.717 4.671
-3.830 2.169 1.762
Tm Zn Mg
1 2 1
Direct
0.750 0.750 0.750
0.500 0.500 0.500
0.000 0.000 0.000
0.250 0.250 0.250
```

Entry 8:
Entry from Materials Project: an optimized crystal structure of Na5MnO4 (r2SCAN).

Calculated values
**Total magnetic moment**: 0.00 μB per cell
**VASP energy**: -7.1733 eV per atom

Geometry as POSCAR:
```
Na5MnO4
1.0
-4.875 -2.758 1.330
-0.920 -3.793 -11.243
4.033 -6.269 1.785
O Na Mn
16 20 4
Direct
0.094 0.871 0.775
0.094 0.371 0.775
0.112 0.560 0.000
0.193 0.642 0.500
0.594 0.129 0.725
0.094 0.371 0.225
0.693 0.358 0.000
0.612 0.940 0.500
0.612 0.440 0.500
0.193 0.142 0.500
0.594 0.629 0.275
0.594 0.629 0.725
0.693 0.858 0.000
0.112 0.060 0.000
0.594 0.129 0.275
0.094 0.871 0.225
0.746 0.803 0.698
0.242 0.840 0.500
0.246 0.197 0.802
0.936 0.536 0.321
0.246 0.697 0.198
0.246 0.197 0.198
0.936 0.036 0.321
0.436 0.964 0.179
0.742 0.660 0.000
0.742 0.160 0.000
0.936 0.036 0.679
0.436 0.464 0.821
0.436 0.464 0.179
0.746 0.303 0.302
0.746 0.303 0.698
0.246 0.697 0.802
0.936 0.536 0.679
0.746 0.803 0.302
0.242 0.340 0.500
0.436 0.964 0.821
0.995 0.912 0.000
0.495 0.588 0.500
0.495 0.088 0.500
0.995 0.412 0.000
```

Entry 9:
Entry from Materials Project: an optimized crystal structure of KHSO4 (r2SCAN).

Calculated values
**Total magnetic moment**: 0.00 μB per cell
**VASP energy**: -7.5955 eV per atom
**SG**: Pbca (61)

Geometry as POSCAR:
```
KHSO4
1.0
-7.593 -3.504 0.464
0.924 -3.208 -9.111
7.719 -15.883 6.375
S H O K
16 16 64 16
Direct
0.982 0.981 0.706
0.256 0.923 0.003
0.482 0.981 0.794
0.744 0.423 0.497
0.018 0.481 0.794
0.756 0.577 0.997
0.518 0.481 0.706
0.256 0.577 0.503
0.518 0.019 0.206
0.744 0.077 0.997
0.756 0.923 0.497
0.482 0.519 0.294
0.982 0.519 0.206
0.244 0.423 0.003
0.244 0.077 0.503
0.018 0.019 0.294
0.089 0.898 0.501
0.911 0.102 0.499
0.411 0.102 0.001
0.228 0.935 0.776
0.911 0.398 0.999
0.728 0.565 0.224
0.589 0.602 0.499
0.728 0.935 0.724
0.272 0.435 0.776
0.411 0.398 0.501
0.772 0.435 0.724
0.089 0.602 0.001
0.589 0.898 0.999
0.272 0.065 0.276
0.228 0.565 0.276
0.772 0.065 0.224
0.165 0.899 0.067
0.578 0.598 0.343
0.081 0.610 0.821
0.564 0.999 0.725
0.422 0.098 0.157
0.081 0.890 0.321
0.164 0.385 0.776
0.581 0.890 0.179
0.922 0.402 0.843
0.835 0.399 0.433
0.707 0.918 0.999
0.165 0.601 0.567
0.335 0.101 0.567
0.911 0.852 0.496
0.664 0.385 0.724
0.293 0.082 0.001
0.668 0.605 0.062
0.589 0.148 0.996
0.911 0.648 0.996
0.793 0.082 0.499
0.422 0.402 0.657
0.835 0.101 0.933
0.089 0.148 0.504
0.168 0.895 0.938
0.832 0.395 0.562
0.936 0.499 0.725
0.832 0.105 0.062
0.564 0.501 0.225
0.078 0.598 0.157
0.332 0.395 0.938
0.436 0.001 0.275
0.836 0.885 0.724
0.332 0.105 0.438
0.589 0.352 0.496
0.078 0.902 0.657
0.411 0.648 0.504
0.336 0.885 0.776
0.164 0.115 0.276
0.207 0.918 0.501
0.419 0.390 0.321
0.664 0.115 0.224
0.419 0.110 0.821
0.168 0.605 0.438
0.936 0.001 0.225
0.665 0.899 0.433
0.665 0.601 0.933
0.668 0.895 0.562
0.411 0.852 0.004
0.064 0.501 0.275
0.436 0.499 0.775
0.207 0.582 0.001
0.089 0.352 0.004
0.919 0.390 0.179
0.578 0.902 0.843
0.293 0.418 0.501
0.064 0.999 0.775
0.581 0.610 0.679
0.919 0.110 0.679
0.793 0.418 0.999
0.922 0.098 0.343
0.336 0.615 0.276
0.707 0.582 0.499
0.335 0.399 0.067
0.836 0.615 0.224
0.875 0.681 0.618
0.125 0.181 0.882
0.883 0.678 0.375
0.375 0.819 0.382
0.875 0.819 0.118
0.383 0.822 0.625
0.383 0.678 0.125
0.125 0.319 0.382
0.375 0.681 0.882
0.617 0.322 0.875
0.883 0.822 0.875
0.625 0.181 0.618
0.617 0.178 0.375
0.117 0.322 0.625
0.625 0.319 0.118
0.117 0.178 0.125
```

Entry 10:
Entry from Materials Project: an optimized crystal structure of UAsP (r2SCAN).

Calculated values
**Total magnetic moment**: 3.27 μB per cell
**VASP energy**: -35.4935 eV per atom
**SG**: P4/nmm (129)

Geometry as POSCAR:
```
UAsP
1.0
-2.119 -2.072 -2.516
2.917 -2.545 -0.362
-3.030 -4.343 6.128
P U As
2 2 2
Direct
0.000 0.500 0.361
0.500 0.000 0.639
0.000 0.500 0.708
0.500 0.000 0.292
0.000 0.000 0.000
0.500 0.500 0.000
```

Entry 11:
Entry from Materials Project: an optimized crystal structure of Li7Co5O12 (r2SCAN).

Calculated values
**Total magnetic moment**: 2.00 μB per cell
**VASP energy**: -8.2147 eV per atom
**SG**: P-1 (2)

Geometry as POSCAR:
```
Li7Co5O12
1.0
5.609 0.006 -0.009
-1.407 6.145 0.023
-2.791 -1.391 5.467
Li O Co
7 12 5
Direct
0.745 0.674 0.167
0.748 0.999 0.496
0.257 0.676 0.165
0.743 0.324 0.835
0.500 0.000 0.000
0.252 0.001 0.504
0.255 0.326 0.833
0.641 0.982 0.760
0.370 0.348 0.564
0.110 0.982 0.759
0.359 0.661 0.890
0.641 0.339 0.110
0.630 0.652 0.436
0.128 0.320 0.097
0.359 0.018 0.240
0.872 0.680 0.903
0.890 0.018 0.241
0.867 0.346 0.563
0.133 0.654 0.437
0.005 0.669 0.671
0.499 0.331 0.328
0.000 0.000 0.000
0.995 0.331 0.329
0.501 0.669 0.672
```

Entry 12:
Entry from Materials Project: an optimized crystal structure of MgSb2O6 (r2SCAN).

Calculated values
**Total magnetic moment**: 0.00 μB per cell
**VASP energy**: -12.1575 eV per atom
**SG**: P4_2/mnm (136)

Geometry as POSCAR:
```
MgSb2O6
1.0
-2.279 0.334 -4.054
-4.056 0.167 2.293
0.615 9.234 0.414
O Sb Mg
12 4 2
Direct
0.810 0.190 0.500
0.698 0.698 0.328
0.302 0.302 0.328
0.302 0.302 0.672
0.802 0.198 0.172
0.698 0.698 0.672
0.198 0.802 0.828
0.802 0.198 0.828
0.198 0.802 0.172
0.690 0.690 0.000
0.310 0.310 0.000
0.190 0.810 0.500
0.000 0.000 0.668
0.500 0.500 0.168
0.500 0.500 0.832
0.000 0.000 0.332
0.500 0.500 0.500
0.000 0.000 0.000
```

Entry 13:
Entry from Materials Project: an optimized crystal structure of LuZn (r2SCAN).

Calculated values
**Total magnetic moment**: 0.00 μB per cell
**VASP energy**: -23.9037 eV per atom
**SG**: Pm-3m (221)

Geometry as POSCAR:
```
LuZn
1.0
3.456 0.000 0.000
0.000 3.456 0.000
0.000 0.000 3.456
Zn Lu
1 1
Direct
0.500 0.500 0.500
0.000 0.000 0.000
```

Entry 14:
Entry from Materials Project: an optimized crystal structure of Yb3In (r2SCAN).

Calculated values
**Total magnetic moment**: 1.28 μB per cell
**VASP energy**: -33.2191 eV per atom
**SG**: Fm-3m (225)

Geometry as POSCAR:
```
Yb3In
1.0
0.000 3.765 3.765
3.765 0.000 3.765
3.765 3.765 0.000
In Yb
1 3
Direct
0.000 0.000 0.000
0.250 0.250 0.250
0.500 0.500 0.500
0.750 0.750 0.750
```